Record 1
A relaxed structure of TlNi2Se2, computed with GGA-PBE.

Cell lengths 7.2706, 7.2706, 7.2706 Å; angles 148.96, 148.96, 44.47 degrees
Last column: nearest neighbours and their distance in Å.
Atoms (fractional coordinates):
Tl  0.0000  0.0000  0.0000  8 Se 3.41
Ni  0.7500  0.2500  0.5000  4 Se 2.37
Ni  0.2500  0.7500  0.5000  4 Se 2.37
Se  0.6493  0.6493  0.0000  4 Ni 2.37
Se  0.3507  0.3507  0.0000  4 Ni 2.37

Values from the calculation:
The value obtained for the formation energy is -0.46 eV/atom. For the total magnetic moment, the calculation gives 0.01 μB per formula unit. The calculation puts the volume at 101.90 Å³/cell.

---

Record 2
A relaxed structure of U8NiSe17, computed with GGA-PBE.

Cell lengths 8.1918, 8.1918, 10.7987 Å; angles 79.82, 79.82, 64.40 degrees
Last column: nearest neighbours and their distance in Å.
Atoms (fractional coordinates):
U  0.8196  0.3037  0.2975  8 Se 2.86-3.03
U  0.3037  0.8196  0.2975  8 Se 2.86-3.03
U  0.1804  0.6963  0.7025  8 Se 2.86-3.03
U  0.6963  0.1804  0.7025  8 Se 2.86-3.03
U  0.2004  0.2004  0.5447  8 Se 2.85-2.92
U  0.7996  0.7996  0.4553  8 Se 2.85-2.92
U  0.6798  0.6798  0.9868  8 Se 2.81-3.05
U  0.3202  0.3202  0.0132  8 Se 2.81-3.05
Ni  0.0000  0.0000  0.0000  6 Se 2.36-2.55
Se  0.8188  0.4350  0.5360  4 U 2.89-2.96
Se  0.4350  0.8188  0.5360  4 U 2.89-2.96
Se  0.1812  0.5650  0.4640  4 U 2.89-2.96
Se  0.5650  0.1812  0.4640  4 U 2.89-2.96
Se  0.9477  0.3229  0.0258  1 Ni 2.55, 1 U 2.81
Se  0.3229  0.9477  0.0258  1 Ni 2.55, 1 U 2.81
Se  0.0523  0.6771  0.9742  1 Ni 2.55, 1 U 2.81
Se  0.6771  0.0523  0.9742  1 Ni 2.55, 1 U 2.81
Se  0.2149  0.2149  0.2776  4 U 2.85-2.97
Se  0.7851  0.7851  0.7224  4 U 2.85-2.97
Se  0.0525  0.0525  0.7776  1 Ni 2.36
Se  0.9475  0.9475  0.2224  1 Ni 2.36
Se  0.2987  0.2987  0.7562  4 U 2.85-2.95
Se  0.7013  0.7013  0.2438  4 U 2.85-2.95
Se  0.5206  0.5206  0.8304  4 U 2.99-3.05, 1 Se 3.34
Se  0.4794  0.4794  0.1696  4 U 2.99-3.05, 1 Se 3.34
Se  0.0000  0.0000  0.5000  6 U 2.92-3.03, 2 Se 3.23

Values from the calculation:
The value obtained for the formation energy is -1.40 eV/atom. The calculation puts the volume at 639.12 Å³/cell.

---

Record 3
A relaxed structure of Si2Ni, computed with GGA-PBE.

Cell lengths 3.8506, 3.8506, 3.8506 Å; angles 60.00, 60.00, 60.00 degrees
Last column: nearest neighbours and their distance in Å.
Atoms (fractional coordinates):
Si  0.2500  0.2500  0.2500  4 Ni 2.36
Si  0.7500  0.7500  0.7500  4 Ni 2.36
Ni  0.0000  0.0000  0.0000  8 Si 2.36

Values from the calculation:
The value obtained for the formation energy is -0.35 eV/atom. The calculation puts the volume at 40.37 Å³/cell.

---

Record 4
A relaxed structure of SiNi2, computed with GGA-PBE.

Cell lengths 3.7340, 4.9830, 7.0680 Å; angles 90.00, 90.00, 90.00 degrees
Last column: nearest neighbours and their distance in Å.
Atoms (fractional coordinates):
Si  0.2500  0.2892  0.6143  9 Ni 2.31-2.58
Si  0.7500  0.7108  0.3857  9 Ni 2.31-2.58
Si  0.2500  0.7892  0.8857  9 Ni 2.31-2.58
Si  0.7500  0.2108  0.1143  9 Ni 2.31-2.58
Ni  0.2500  0.4582  0.2948  5 Si 2.34-2.58, 5 Ni 2.57-2.59
Ni  0.7500  0.5418  0.7052  5 Si 2.34-2.58, 5 Ni 2.57-2.59
Ni  0.2500  0.9582  0.2052  5 Si 2.34-2.58, 5 Ni 2.57-2.59
Ni  0.7500  0.0418  0.7948  5 Si 2.34-2.58, 5 Ni 2.57-2.59
Ni  0.2500  0.3295  0.9400  4 Si 2.31-2.32, 2 Ni 2.57
Ni  0.7500  0.6705  0.0600  4 Si 2.31-2.32, 2 Ni 2.57
Ni  0.2500  0.8295  0.5600  4 Si 2.31-2.32, 2 Ni 2.57
Ni  0.7500  0.1705  0.4400  4 Si 2.31-2.32, 2 Ni 2.57

Values from the calculation:
The value obtained for the formation energy is -0.55 eV/atom. The calculation puts the volume at 131.51 Å³/cell.

---

Record 5
A relaxed structure of SiNi3, computed with GGA-PBE.

Cell lengths 3.5047, 3.5047, 3.5047 Å; angles 90.00, 90.00, 90.00 degrees
Last column: nearest neighbours and their distance in Å.
Atoms (fractional coordinates):
Si  0.0000  0.0000  0.0000  12 Ni 2.48
Ni  0.0000  0.5000  0.5000  8 Ni 2.48, 4 Si 2.48
Ni  0.5000  0.5000  0.0000  8 Ni 2.48, 4 Si 2.48
Ni  0.5000  0.0000  0.5000  8 Ni 2.48, 4 Si 2.48

Values from the calculation:
The value obtained for the formation energy is -0.46 eV/atom. The calculation puts the volume at 43.05 Å³/cell.

---

Record 6
A relaxed structure of SiNi3, computed with GGA-PBE.

Cell lengths 7.8061, 7.8061, 7.8061 Å; angles 19.07, 19.07, 19.07 degrees
Last column: nearest neighbours and their distance in Å.
Atoms (fractional coordinates):
Si  0.0000  0.0000  0.0000  6 Ni 2.34, 6 Si 2.59
Ni  0.2547  0.2547  0.2547  3 Si 2.34, 9 Ni 2.52-2.59
Ni  0.5000  0.5000  0.5000  12 Ni 2.52-2.59
Ni  0.7453  0.7453  0.7453  3 Si 2.34, 9 Ni 2.52-2.59

Values from the calculation:
The value obtained for the formation energy is -0.17 eV/atom. For the total magnetic moment, the calculation gives 0.01 μB per formula unit. The calculation puts the volume at 44.36 Å³/cell.

---

Record 7
A relaxed structure of SiNi2, computed with GGA-PBE.

Cell lengths 3.9043, 3.9043, 4.9769 Å; angles 90.00, 90.00, 120.00 degrees
Last column: nearest neighbours and their distance in Å.
Atoms (fractional coordinates):
Si  0.6667  0.3333  0.7500  5 Ni 2.25-2.49
Si  0.3333  0.6667  0.2500  5 Ni 2.25-2.49
Ni  0.3333  0.6667  0.7500  5 Si 2.25-2.49
Ni  0.6667  0.3333  0.2500  5 Si 2.25-2.49
Ni  0.0000  0.0000  0.5000  8 Ni 2.49-2.57, 6 Si 2.57
Ni  0.0000  0.0000  0.0000  8 Ni 2.49-2.57, 6 Si 2.57

Values from the calculation:
The value obtained for the formation energy is -0.50 eV/atom. The calculation puts the volume at 65.70 Å³/cell.

---

Record 8
A relaxed structure of Sm6Si3Ni2, computed with GGA-PBE.

Cell lengths 4.4411, 11.5323, 11.5855 Å; angles 61.47, 90.00, 90.00 degrees
Last column: nearest neighbours and their distance in Å.
Atoms (fractional coordinates):
Sm  0.0000  0.2402  0.7827  2 Ni 2.95, 3 Si 3.01-3.13
Sm  0.0000  0.7826  0.9817  3 Ni 2.87-3.01, 2 Si 3.02
Sm  0.0000  0.9801  0.2415  3 Ni 2.88-3.15, 2 Si 3.05
Sm  0.5000  0.7501  0.2261  4 Ni 2.95-3.01, 1 Si 3.15
Sm  0.5000  0.2285  0.0239  4 Ni 2.90-2.96, 1 Si 3.22
Sm  0.5000  0.0201  0.7587  2 Ni 2.95, 3 Si 3.03-3.10
Sm  0.0000  0.8614  0.6235  7 Si 3.03-3.17
Sm  0.0000  0.6175  0.5134  6 Si 3.05-3.21, 1 Ni 3.21
Sm  0.0000  0.5168  0.8636  6 Si 3.06-3.19, 1 Ni 3.12
Sm  0.5000  0.1331  0.3826  5 Si 3.07-3.14, 2 Ni 3.27
Sm  0.5000  0.3743  0.4880  5 Si 3.06-3.15, 2 Ni 3.34
Sm  0.5000  0.4802  0.1388  3 Si 3.00-3.23, 4 Ni 3.07-3.12
Si  0.0000  0.3368  0.3274  2 Ni 2.39, 1 Si 2.51
Si  0.5000  0.6660  0.6660  3 Si 2.41-2.42
Si  0.0000  0.1568  0.5619  1 Si 2.51
Si  0.5000  0.4379  0.7157  1 Si 2.41
Si  0.5000  0.7220  0.8417  1 Si 2.41
Si  0.5000  0.8425  0.4414  1 Si 2.42
Ni  0.7476  0.0006  0.0036  2 Ni 2.20-2.24
Ni  0.2524  0.0006  0.0036  2 Ni 2.20-2.24
Ni  0.0000  0.5674  0.2633  1 Si 2.39
Ni  0.0000  0.2845  0.1509  1 Si 2.39

Values from the calculation:
The value obtained for the formation energy is -0.51 eV/atom. For the total magnetic moment, the calculation gives 0.02 μB per formula unit. The calculation puts the volume at 521.29 Å³/cell.

---

Record 9
A relaxed structure of Sm4Si9Ni7, computed with GGA-PBE.

Cell lengths 7.9449, 7.9449, 5.6597 Å; angles 69.39, 69.39, 91.68 degrees
Last column: nearest neighbours and their distance in Å.
Atoms (fractional coordinates):
Sm  0.8900  0.6283  0.4868  9 Si 2.92-3.11, 6 Ni 3.04-3.22
Sm  0.1066  0.3656  0.0123  9 Si 2.99-3.15, 8 Ni 3.04-3.32
Sm  0.3717  0.1100  0.5132  9 Si 2.92-3.11, 6 Ni 3.04-3.22
Sm  0.6344  0.8934  0.9877  9 Si 2.99-3.15, 8 Ni 3.04-3.32
Si  0.2395  0.4570  0.4050  3 Ni 2.28-2.34, 2 Si 2.49
Si  0.7508  0.5291  0.1001  4 Ni 2.30-2.39, 1 Si 2.45
Si  0.5430  0.7605  0.5950  3 Ni 2.28-2.34, 2 Si 2.49
Si  0.4709  0.2492  0.8999  4 Ni 2.30-2.39, 1 Si 2.45
Si  0.9984  0.0016  0.0000  4 Ni 2.31-2.35
Si  0.0072  0.9928  0.5000  4 Ni 2.31-2.33
Si  0.2667  0.7333  0.0000  3 Ni 2.32-2.52, 2 Si 2.49
Si  0.2623  0.7377  0.5000  2 Ni 2.32, 2 Si 2.49
Si  0.7354  0.2646  0.5000  2 Ni 2.33, 2 Si 2.45
Ni  0.9838  0.2383  0.6310  4 Si 2.28-2.33, 1 Ni 2.48
Ni  0.0207  0.7506  0.8686  5 Si 2.32-2.36
Ni  0.7617  0.0162  0.3690  4 Si 2.28-2.33, 1 Ni 2.48
Ni  0.2494  0.9793  0.1314  5 Si 2.32-2.36
Ni  0.4960  0.5040  0.5000  4 Si 2.34-2.39
Ni  0.4876  0.5124  0.0000  5 Si 2.32-2.52
Ni  0.7239  0.2761  0.0000  2 Si 2.30, 2 Ni 2.48

Values from the calculation:
The value obtained for the formation energy is -0.77 eV/atom. For the total magnetic moment, the calculation gives 0.00 μB per formula unit. The calculation puts the volume at 308.14 Å³/cell.

---

Record 10
A relaxed structure of Sm2Si3Ni, computed with GGA-PBE.

Cell lengths 4.0602, 4.0602, 8.2313 Å; angles 90.00, 90.00, 120.00 degrees
Last column: nearest neighbours and their distance in Å.
Atoms (fractional coordinates):
Sm  0.3333  0.6667  0.2393  3 Ni 3.06, 9 Si 3.06-3.18
Sm  0.3333  0.6667  0.7607  3 Ni 3.06, 9 Si 3.06-3.18
Si  0.6667  0.3333  0.5000  3 Si 2.34
Si  0.0000  0.0000  0.0000  3 Ni 2.34
Si  0.0000  0.0000  0.5000  3 Si 2.34
Ni  0.6667  0.3333  0.0000  3 Si 2.34

Values from the calculation:
The value obtained for the formation energy is -0.69 eV/atom. For the total magnetic moment, the calculation gives 0.08 μB per formula unit. The calculation puts the volume at 117.51 Å³/cell.

---

Record 11
A relaxed structure of TbSiNi4, computed with GGA-PBE.

Cell lengths 3.9560, 4.8121, 4.8121 Å; angles 116.39, 90.00, 90.00 degrees
Last column: nearest neighbours and their distance in Å.
Atoms (fractional coordinates):
Tb  0.0000  0.0000  0.0000  14 Ni 2.80-3.11
Si  0.5000  0.5000  0.5000  8 Ni 2.36-2.41
Ni  0.0000  0.3421  0.6579  2 Si 2.36, 5 Ni 2.47-2.58
Ni  0.0000  0.6579  0.3421  2 Si 2.36, 5 Ni 2.47-2.58
Ni  0.5000  0.0000  0.5000  2 Si 2.41, 6 Ni 2.47-2.54
Ni  0.5000  0.5000  0.0000  2 Si 2.41, 6 Ni 2.47-2.54

Values from the calculation:
The value obtained for the formation energy is -0.61 eV/atom. The calculation puts the volume at 82.06 Å³/cell.

---

Record 12
A relaxed structure of Tb3Si3Ni, computed with GGA-PBE.

Cell lengths 9.1872, 9.1872, 9.1872 Å; angles 155.27, 153.87, 36.29 degrees
Last column: nearest neighbours and their distance in Å.
Atoms (fractional coordinates):
Tb  0.8150  0.3150  0.5000  7 Si 2.95-3.10
Tb  0.1818  0.6818  0.5000  2 Ni 2.88, 5 Si 2.96-3.05
Tb  0.0007  0.0007  0.0000  8 Si 3.05-3.26, 4 Ni 3.09
Si  0.6377  0.1377  0.5000  2 Ni 2.32
Si  0.3565  0.8565  0.5000  2 Si 2.46
Si  0.4407  0.4407  0.0000  1 Ni 2.22, 2 Si 2.46
Ni  0.5676  0.5676  0.0000  3 Si 2.22-2.32

Values from the calculation:
The value obtained for the formation energy is -0.78 eV/atom. For the total magnetic moment, the calculation gives 0.05 μB per formula unit. The calculation puts the volume at 142.71 Å³/cell.

---

Computed values of DFT total energy (unit: eV/atom) for the preceding records, in sequence: -4.45; -7.07; -5.90; -6.21; -6.15; -5.86; -6.16; -5.61; -6.18; -5.93; -6.14; -5.92.